# 1
Computed, not measured: a relaxed structure of BaAl2O6 at the PBE level of DFT.

Raw total energy ... -6.1213 eV per atom
Total energy after the MP2020 corrections ... -118.4 eV for the cell shown
Space-group type ... P1, No. 1
Magnetic moment ... 4.00 μB/f.u.
Relative energy among the computed polymorphs ... 84 kJ/mol of formula units
ΔH_f (0 K) ... -20.12 eV per formula unit

Cell: 10.752 5.632 10.410 Å, 78.04 30.81 71.00°
Element x y z (fractional)
O  0.340  0.085  0.924
O  0.165  0.908  0.598
O  0.192  0.417  0.800
O  0.990  0.578  0.617
O  0.433  0.668  0.072
O  0.586  0.811  0.420
O  0.815  0.621  0.579
O  0.822  0.071  0.670
O  0.677  0.252  0.432
O  0.631  0.434  0.263
O  0.650  0.921  0.083
O  0.331  0.600  0.902
Al  0.391  0.345  0.772
Al  0.902  0.864  0.759
Al  0.490  0.775  0.346
Al  0.473  0.761  0.864
Ba  0.015  0.987  0.983
Ba  0.262  0.236  0.237

# 2
Computed, not measured: a relaxed structure of BaAl2O4 at the PBE level of DFT.

Raw total energy ... -7.2236 eV per atom
Total energy after the MP2020 corrections ... -106.6 eV for the cell shown
Space-group type ... P6_322, No. 182
Relative energy among the computed polymorphs ... 2 kJ/mol of formula units
ΔH_f (0 K) ... -24.11 eV per formula unit

Cell: 5.267 5.267 8.981 Å, 90.00 90.00 120.00°
Element x y z (fractional)
Al  0.667  0.333  0.554
Al  0.333  0.667  0.446
Al  0.333  0.667  0.054
Al  0.667  0.333  0.946
O  0.356  0.356  0.500
O  0.667  0.333  0.750
O  0.333  0.667  0.250
O  0.356  0.000  0.000
O  0.000  0.356  0.000
O  0.644  0.644  0.000
O  0.000  0.644  0.500
O  0.644  0.000  0.500
Ba  0.000  0.000  0.750
Ba  0.000  0.000  0.250

# 3
Computed, not measured: a relaxed structure of BaAl2O6 at the PBE level of DFT.

Raw total energy ... -6.2401 eV per atom
Total energy after the MP2020 corrections ... -114.3 eV for the cell shown
Space-group type ... Fdd2, No. 43
Magnetic moment ... 0.15 μB/f.u.
Relative energy among the computed polymorphs ... 285 kJ/mol of formula units
ΔH_f (0 K) ... -18.03 eV per formula unit

Cell: 9.861 9.620 5.583 Å, 75.73 70.99 33.28°
Element x y z (fractional)
O  0.638  0.607  0.943
O  0.555  0.416  0.827
O  0.423  0.049  0.695
O  0.812  0.943  0.607
O  0.307  0.438  0.612
O  0.433  0.146  0.111
O  0.139  0.940  0.817
O  0.643  0.612  0.438
O  0.201  0.827  0.416
O  0.310  0.111  0.146
O  0.834  0.695  0.049
O  0.104  0.817  0.940
Al  0.494  0.655  0.749
Al  0.101  0.749  0.655
Al  0.501  0.149  0.756
Al  0.595  0.756  0.149
Ba  0.726  0.274  0.274
Ba  0.976  0.524  0.524

# 4
Computed, not measured: a relaxed structure of Ba5AlRu2O11 at the PBE level of DFT.

Raw total energy ... -6.7806 eV per atom
Total energy after the MP2020 corrections ... -545.6 eV for the cell shown
Space-group type ... Pnma, No. 62
Magnetic moment ... 3.00 μB/f.u.
ΔH_f (0 K) ... -50.07 eV per formula unit

Cell: 5.879 18.877 11.223 Å, 90.00 90.00 90.00°
Element x y z (fractional)
O  0.250  0.968  0.116
O  0.250  0.409  0.044
O  0.750  0.591  0.956
O  0.750  0.771  0.097
O  0.485  0.099  0.105
O  0.750  0.271  0.403
O  0.250  0.909  0.456
O  0.014  0.016  0.322
O  0.250  0.229  0.903
O  0.486  0.516  0.178
O  0.500  0.865  0.252
O  0.250  0.149  0.307
O  0.514  0.984  0.678
O  0.985  0.901  0.895
O  0.515  0.901  0.895
O  0.500  0.365  0.248
O  0.500  0.635  0.752
O  0.986  0.984  0.678
O  0.015  0.599  0.395
O  0.000  0.635  0.752
O  0.485  0.599  0.395
O  0.500  0.135  0.748
O  0.000  0.135  0.748
O  0.750  0.751  0.356
O  0.000  0.865  0.252
O  0.250  0.249  0.644
O  0.014  0.516  0.178
O  0.015  0.099  0.105
O  0.250  0.749  0.856
O  0.000  0.365  0.248
O  0.250  0.729  0.597
O  0.750  0.091  0.544
O  0.750  0.032  0.884
O  0.750  0.351  0.807
O  0.514  0.484  0.822
O  0.750  0.532  0.616
O  0.750  0.251  0.144
O  0.250  0.649  0.193
O  0.250  0.468  0.384
O  0.986  0.484  0.822
O  0.985  0.401  0.605
O  0.515  0.401  0.605
O  0.750  0.851  0.693
O  0.486  0.016  0.322
Ba  0.750  0.139  0.307
Ba  0.750  0.250  0.628
Ba  0.250  0.027  0.894
Ba  0.750  0.173  0.952
Ba  0.250  0.067  0.528
Ba  0.750  0.933  0.472
Ba  0.750  0.750  0.872
Ba  0.250  0.567  0.972
Ba  0.250  0.827  0.048
Ba  0.250  0.861  0.693
Ba  0.750  0.973  0.106
Ba  0.750  0.473  0.394
Ba  0.250  0.750  0.372
Ba  0.250  0.527  0.606
Ba  0.750  0.639  0.193
Ba  0.750  0.433  0.028
Ba  0.250  0.361  0.807
Ba  0.250  0.327  0.452
Ba  0.250  0.250  0.128
Ba  0.750  0.673  0.548
Ru  0.250  0.564  0.292
Ru  0.750  0.436  0.708
Ru  0.250  0.064  0.208
Ru  0.250  0.439  0.207
Ru  0.750  0.061  0.707
Ru  0.750  0.936  0.792
Ru  0.250  0.939  0.293
Ru  0.750  0.561  0.793
Al  0.250  0.688  0.739
Al  0.750  0.812  0.239
Al  0.250  0.188  0.761
Al  0.750  0.312  0.261

# 5
Computed, not measured: a relaxed structure of Ba3Al4Sb6O21 at the PBE level of DFT.

Raw total energy ... -6.3057 eV per atom
Total energy after the MP2020 corrections ... -228.8 eV for the cell shown
Space-group type ... C2, No. 5
Magnetic moment ... 2.00 μB/f.u.
ΔH_f (0 K) ... -79.40 eV per formula unit

Cell: 9.226 9.226 15.877 Å, 63.13 63.13 33.88°
Element x y z (fractional)
Sb  0.693  0.630  0.895
Sb  0.019  0.909  0.266
Sb  0.314  0.312  0.602
Sb  0.688  0.686  0.398
Sb  0.091  0.981  0.734
Sb  0.370  0.307  0.105
O  0.032  0.619  0.052
O  0.792  0.474  0.528
O  0.738  0.333  0.725
O  0.667  0.262  0.275
O  0.381  0.968  0.948
O  0.328  0.982  0.446
O  0.755  0.472  0.352
O  0.329  0.109  0.162
O  0.252  0.757  0.652
O  0.526  0.208  0.472
O  0.835  0.408  0.019
O  0.121  0.602  0.318
O  0.528  0.245  0.648
O  0.891  0.671  0.838
O  0.243  0.748  0.348
O  0.059  0.941  0.000
O  0.018  0.672  0.554
O  0.085  0.810  0.856
O  0.190  0.915  0.144
O  0.398  0.879  0.682
O  0.592  0.165  0.981
Ba  0.962  0.038  0.500
Ba  0.712  0.608  0.158
Ba  0.392  0.288  0.842
Al  0.937  0.894  0.977
Al  0.389  0.432  0.370
Al  0.568  0.611  0.630
Al  0.106  0.063  0.023

# 6
Computed, not measured: a relaxed structure of Ba2AlSb3O8 at the PBE level of DFT.

Raw total energy ... -5.8683 eV per atom
Total energy after the MP2020 corrections ... -87.7 eV for the cell shown
Space-group type ... P4/mmm, No. 123
Magnetic moment ... 0.00 μB/f.u.
ΔH_f (0 K) ... -28.10 eV per formula unit

Cell: 4.261 4.261 11.875 Å, 90.00 90.00 90.00°
Element x y z (fractional)
O  0.000  0.000  0.178
O  0.000  0.500  0.660
O  0.000  0.500  0.340
O  0.000  0.000  0.822
O  0.500  0.000  0.340
O  0.500  0.000  0.000
O  0.000  0.500  0.000
O  0.500  0.000  0.660
Sb  0.000  0.000  0.356
Sb  0.000  0.000  0.644
Sb  0.000  0.000  0.000
Ba  0.500  0.500  0.181
Ba  0.500  0.500  0.819
Al  0.500  0.500  0.500

# 7
Computed, not measured: a relaxed structure of Ba3Al2Sb6O21 at the PBE level of DFT.

Raw total energy ... -6.2665 eV per atom
Total energy after the MP2020 corrections ... -215.0 eV for the cell shown
Space-group type ... C2, No. 5
Magnetic moment ... 0.00 μB/f.u.
Relative energy among the computed polymorphs ... 115 kJ/mol of formula units
ΔH_f (0 K) ... -73.02 eV per formula unit

Cell: 7.780 7.780 14.337 Å, 80.83 80.83 39.08°
Element x y z (fractional)
O  0.837  0.659  0.700
O  0.659  0.341  0.000
O  0.039  0.684  0.359
O  0.530  0.487  0.249
O  0.513  0.470  0.751
O  0.419  0.227  0.638
O  0.031  0.959  0.143
O  0.524  0.039  0.456
O  0.341  0.163  0.300
O  0.742  0.889  0.017
O  0.176  0.181  0.791
O  0.773  0.581  0.362
O  0.115  0.047  0.452
O  0.041  0.969  0.857
O  0.819  0.824  0.209
O  0.111  0.258  0.983
O  0.316  0.961  0.641
O  0.953  0.885  0.548
O  0.961  0.476  0.544
O  0.608  0.671  0.866
O  0.329  0.392  0.134
Sb  0.368  0.799  0.769
Sb  0.717  0.877  0.579
Sb  0.718  0.083  0.093
Sb  0.123  0.283  0.421
Sb  0.917  0.282  0.907
Sb  0.201  0.632  0.231
Ba  0.584  0.082  0.843
Ba  0.918  0.416  0.157
Ba  0.467  0.533  0.500
Al  0.128  0.312  0.662
Al  0.688  0.872  0.338

# 8
Computed, not measured: a relaxed structure of Ba3Al2Sb6O21 at the PBE level of DFT.

Raw total energy ... -6.3036 eV per atom
Total energy after the MP2020 corrections ... -216.1 eV for the cell shown
Space-group type ... C2, No. 5
Magnetic moment ... 0.00 μB/f.u.
Relative energy among the computed polymorphs ... 0 kJ/mol of formula units
ΔH_f (0 K) ... -74.21 eV per formula unit

Cell: 22.866 7.643 7.643 Å, 40.00 43.21 43.21°
Element x y z (fractional)
Sb  0.758  0.253  0.320
Sb  0.556  0.655  0.648
Sb  0.229  0.713  0.699
Sb  0.111  0.352  0.345
Sb  0.438  0.301  0.287
Sb  0.908  0.680  0.747
O  0.548  0.917  0.248
O  0.978  0.657  0.346
O  0.954  0.000  0.419
O  0.451  0.555  0.865
O  0.876  0.693  0.042
O  0.333  0.642  0.358
O  0.191  0.383  0.950
O  0.306  0.574  0.837
O  0.688  0.654  0.343
O  0.122  0.951  0.560
O  0.119  0.752  0.083
O  0.476  0.050  0.617
O  0.713  0.581  0.000
O  0.216  0.135  0.445
O  0.791  0.958  0.307
O  0.782  0.973  0.706
O  0.884  0.294  0.027
O  0.544  0.440  0.049
O  0.360  0.163  0.426
O  0.035  0.329  0.753
O  0.632  0.247  0.671
Al  0.670  0.900  0.985
Al  0.997  0.015  0.100
Ba  0.216  0.597  0.316
Ba  0.833  0.400  0.600
Ba  0.450  0.684  0.403

Question: Among the records above, which one has the highest raw total energy?
Answer: Ba2AlSb3O8